Record 1
Below is an optimized crystal structure of Na2CoSiCO7, with properties calculated at the GGA+U level. Values from VASP.

Structure (Quantum ESPRESSO input):
```
&SYSTEM
  ibrav = 0, nat = 24, ntyp = 5
/
ATOMIC_SPECIES
Na 22.99 Na.upf
O 16.00 O.upf
Si 28.09 Si.upf
Co 58.93 Co.upf
C 12.01 C.upf
ATOMIC_POSITIONS crystal
Na 0.486 0.237 0.243
Na 0.986 0.763 0.757
Na 0.014 0.237 0.243
Na 0.514 0.763 0.757
O 0.750 0.535 0.181
O 0.750 0.950 0.142
O 0.750 0.604 0.530
O 0.750 0.696 0.944
O 0.250 0.396 0.470
O 0.250 0.304 0.056
O 0.046 0.785 0.325
O 0.546 0.215 0.675
O 0.250 0.873 0.585
O 0.750 0.127 0.415
O 0.250 0.465 0.819
O 0.454 0.785 0.325
O 0.250 0.050 0.858
O 0.954 0.215 0.675
Si 0.250 0.712 0.432
Si 0.750 0.288 0.568
Co 0.750 0.790 0.342
Co 0.250 0.210 0.658
C 0.250 0.274 0.920
C 0.750 0.726 0.080
CELL_PARAMETERS angstrom
-0.363 2.648 -5.743
3.701 -3.165 -1.693
-6.016 -6.240 -2.496
```

Summary:
- Mass density: 2.90 Mg/m³
- Size of the total moment: 0.083 μB/atom
- SG: P2_1/m
- E: -6.4489 eV/atom

---

Record 2
Below is an optimized crystal structure of Nd4CoSi4C4O22, with properties calculated at the GGA+U level. Values from VASP.

Structure (Quantum ESPRESSO input):
```
&SYSTEM
  ibrav = 0, nat = 70, ntyp = 5
/
ATOMIC_SPECIES
Si 28.09 Si.upf
C 12.01 C.upf
O 16.00 O.upf
Co 58.93 Co.upf
Nd 144.24 Nd.upf
ATOMIC_POSITIONS crystal
Si 0.529 0.570 0.634
Si 0.029 0.430 0.866
Si 0.485 0.285 0.206
Si 0.471 0.430 0.366
Si 0.515 0.715 0.794
Si 0.015 0.285 0.706
Si 0.971 0.570 0.134
Si 0.985 0.715 0.294
C 0.751 0.020 0.668
C 0.500 0.000 0.500
C 0.749 0.020 0.168
C 0.000 0.000 0.000
C 0.000 0.000 0.500
C 0.500 0.000 0.000
C 0.249 0.980 0.332
C 0.251 0.980 0.832
O 0.742 0.782 0.253
O 0.279 0.377 0.908
O 0.758 0.782 0.753
O 0.522 0.428 0.673
O 0.047 0.992 0.332
O 0.779 0.623 0.592
O 0.953 0.032 0.160
O 0.000 0.106 0.474
O 0.266 0.784 0.789
O 0.500 0.894 0.026
O 0.001 0.895 0.023
O 0.918 0.652 0.402
O 0.766 0.216 0.711
O 0.022 0.572 0.827
O 0.242 0.218 0.247
O 0.173 0.622 0.055
O 0.547 0.008 0.168
O 0.827 0.378 0.945
O 0.551 0.375 0.276
O 0.453 0.992 0.832
O 0.582 0.652 0.902
O 0.234 0.784 0.289
O 0.999 0.105 0.977
O 0.047 0.968 0.840
O 0.501 0.105 0.477
O 0.478 0.572 0.327
O 0.721 0.623 0.092
O 0.953 0.008 0.668
O 0.978 0.428 0.173
O 0.449 0.625 0.724
O 0.418 0.348 0.098
O 0.000 0.894 0.526
O 0.258 0.218 0.747
O 0.500 0.106 0.974
O 0.453 0.968 0.340
O 0.221 0.377 0.408
O 0.734 0.216 0.211
O 0.082 0.348 0.598
O 0.949 0.375 0.776
O 0.051 0.625 0.224
O 0.673 0.378 0.445
O 0.547 0.032 0.660
O 0.327 0.622 0.555
O 0.499 0.895 0.523
Co 0.500 0.500 0.000
Co 0.000 0.500 0.500
Nd 0.034 0.289 0.087
Nd 0.466 0.289 0.587
Nd 0.946 0.294 0.330
Nd 0.534 0.711 0.413
Nd 0.554 0.294 0.830
Nd 0.446 0.706 0.170
Nd 0.054 0.706 0.670
Nd 0.966 0.711 0.913
CELL_PARAMETERS angstrom
5.744 0.000 0.000
0.000 11.763 0.000
0.000 3.669 14.278
```

Summary:
- Mass density: 3.95 Mg/m³
- Size of the total moment: 0.082 μB/atom
- SG: P2_1/c
- E: -7.6671 eV/atom

---

Which formula does entry 2 have? Nd4CoSi4C4O22